Entry 1:
First-principles (GGA-PBE) data for a relaxed structure of BaNb4O11, as listed in the Materials Project. Values from VASP.

Formation enthalpy at 0 K, eV per formula unit: -49.81
Crystal system: hexagonal
Magnetic moment, μB/f.u.: 0.000

Geometry as Quantum ESPRESSO input:
```
&SYSTEM
  ibrav = 0, nat = 32, ntyp = 3
/
ATOMIC_SPECIES
O 16.00 O.upf
Nb 92.91 Nb.upf
Ba 137.33 Ba.upf
ATOMIC_POSITIONS crystal
O 0.667 0.333 0.034
O 0.364 0.929 0.152
O 0.636 0.565 0.848
Nb 0.667 0.333 0.750
O 0.243 0.000 0.500
O 0.757 0.757 0.500
Nb 0.646 0.000 0.500
Ba 0.667 0.333 0.250
O 0.333 0.667 0.534
Ba 0.333 0.667 0.750
O 0.435 0.071 0.848
O 0.565 0.929 0.348
O 0.071 0.636 0.348
Nb 0.000 0.646 0.500
Nb 0.354 0.354 0.500
O 0.364 0.435 0.348
O 0.333 0.667 0.966
O 0.000 0.757 0.000
Nb 0.646 0.646 0.000
O 0.000 0.243 0.500
O 0.071 0.435 0.152
O 0.435 0.364 0.652
Nb 0.333 0.667 0.250
Nb 0.000 0.354 0.000
O 0.636 0.071 0.652
O 0.929 0.364 0.848
O 0.565 0.636 0.152
O 0.667 0.333 0.466
O 0.929 0.565 0.652
O 0.243 0.243 0.000
Nb 0.354 0.000 0.000
O 0.757 0.000 0.000
CELL_PARAMETERS angstrom
0.053 4.236 4.801
-3.127 1.346 -5.423
-10.500 -5.251 4.750
```

Entry 2:
First-principles (GGA-PBE) data for a relaxed structure of ErMn6Ga6, as listed in the Materials Project. Values from VASP.

Formation enthalpy at 0 K, eV per formula unit: -1.27
Crystal system: orthorhombic
Magnetic moment, μB/f.u.: 12.468

Geometry as Quantum ESPRESSO input:
```
&SYSTEM
  ibrav = 0, nat = 13, ntyp = 3
/
ATOMIC_SPECIES
Ga 69.72 Ga.upf
Mn 54.94 Mn.upf
Er 167.26 Er.upf
ATOMIC_POSITIONS crystal
Ga 0.751 0.738 0.240
Mn 0.500 0.500 0.000
Ga 0.249 0.262 0.760
Ga 0.500 0.000 0.500
Mn 0.000 0.651 0.651
Mn 0.651 0.349 0.651
Mn 0.349 0.651 0.349
Ga 0.489 0.262 0.240
Ga 0.000 0.000 0.500
Er 0.000 0.000 0.000
Mn 0.000 0.349 0.349
Ga 0.511 0.738 0.760
Mn 0.000 0.500 0.000
CELL_PARAMETERS angstrom
0.000 0.000 4.886
-4.412 4.412 2.443
-4.523 -4.523 -2.443
```

Entry 3:
First-principles (GGA-PBE) data for a relaxed structure of TbSnGe, as listed in the Materials Project. Values from VASP.

Formation enthalpy at 0 K, eV per formula unit: -1.92
Crystal system: orthorhombic

Geometry as Quantum ESPRESSO input:
```
&SYSTEM
  ibrav = 0, nat = 6, ntyp = 3
/
ATOMIC_SPECIES
Tb 158.93 Tb.upf
Sn 118.71 Sn.upf
Ge 72.64 Ge.upf
ATOMIC_POSITIONS crystal
Tb 0.094 0.906 0.250
Sn 0.255 0.745 0.750
Sn 0.745 0.255 0.250
Tb 0.906 0.094 0.750
Ge 0.447 0.553 0.250
Ge 0.553 0.447 0.750
CELL_PARAMETERS angstrom
2.138 -8.206 0.000
2.138 8.206 0.000
0.000 0.000 4.110
```

Entry 4:
First-principles (GGA-PBE) data for a relaxed structure of InI3O9, as listed in the Materials Project. Values from VASP.

Formation enthalpy at 0 K, eV per formula unit: -13.45
Crystal system: trigonal

Geometry as Quantum ESPRESSO input:
```
&SYSTEM
  ibrav = 0, nat = 26, ntyp = 3
/
ATOMIC_SPECIES
In 114.82 In.upf
O 16.00 O.upf
I 126.90 I.upf
ATOMIC_POSITIONS crystal
In 0.821 0.821 0.821
O 0.294 0.938 0.054
O 0.706 0.062 0.946
O 0.083 0.428 0.299
O 0.572 0.701 0.917
O 0.428 0.299 0.083
O 0.938 0.054 0.294
O 0.575 0.785 0.267
I 0.419 0.721 0.130
O 0.701 0.917 0.572
I 0.130 0.419 0.721
O 0.267 0.575 0.785
O 0.054 0.294 0.938
I 0.721 0.130 0.419
O 0.425 0.215 0.733
I 0.870 0.581 0.279
O 0.917 0.572 0.701
O 0.215 0.733 0.425
O 0.733 0.425 0.215
O 0.299 0.083 0.428
In 0.179 0.179 0.179
I 0.581 0.279 0.870
O 0.946 0.706 0.062
O 0.785 0.267 0.575
O 0.062 0.946 0.706
I 0.279 0.870 0.581
CELL_PARAMETERS angstrom
-5.274 -5.367 0.889
3.204 -5.417 -4.219
3.329 -3.920 5.564
```

Entry 5:
First-principles (GGA-PBE) data for a relaxed structure of Mg6VGa, as listed in the Materials Project. Values from VASP.

Formation enthalpy at 0 K, eV per formula unit: 0.83
Magnetic moment, μB/f.u.: 3.112
Relative energy among the computed polymorphs, meV per atom: 0

Geometry as Quantum ESPRESSO input:
```
&SYSTEM
  ibrav = 0, nat = 16, ntyp = 3
/
ATOMIC_SPECIES
Mg 24.30 Mg.upf
Ga 69.72 Ga.upf
V 50.94 V.upf
ATOMIC_POSITIONS crystal
Mg 0.500 0.742 0.413
Mg 0.500 0.500 0.667
Mg 0.000 0.000 0.334
Mg 0.000 0.755 0.584
Ga 0.500 0.500 0.176
Mg 0.000 0.255 0.084
V 0.000 0.000 0.829
Mg 0.500 0.242 0.913
Mg 0.500 0.258 0.413
Mg 0.000 0.245 0.584
Mg 0.000 0.745 0.084
Mg 0.500 0.758 0.913
Mg 0.000 0.500 0.834
V 0.000 0.500 0.329
Ga 0.500 0.000 0.676
Mg 0.500 0.000 0.167
CELL_PARAMETERS angstrom
4.937 0.000 0.000
0.000 6.206 0.000
0.000 0.000 10.685
```

Entry 6:
First-principles (GGA-PBE) data for a relaxed structure of Cs2YTlI6, as listed in the Materials Project. Values from VASP.

Formation enthalpy at 0 K, eV per formula unit: -15.53
Crystal system: cubic
Magnetic moment, μB/f.u.: 0.001

Geometry as Quantum ESPRESSO input:
```
&SYSTEM
  ibrav = 0, nat = 10, ntyp = 4
/
ATOMIC_SPECIES
I 126.90 I.upf
Y 88.91 Y.upf
Cs 132.91 Cs.upf
Tl 204.38 Tl.upf
ATOMIC_POSITIONS crystal
I 0.236 0.764 0.236
I 0.236 0.236 0.764
I 0.764 0.236 0.236
Y 0.000 0.000 0.000
Cs 0.750 0.750 0.750
I 0.236 0.764 0.764
I 0.764 0.236 0.764
Cs 0.250 0.250 0.250
I 0.764 0.764 0.236
Tl 0.500 0.500 0.500
CELL_PARAMETERS angstrom
2.493 3.716 7.902
-6.207 1.563 6.442
-0.036 -5.000 7.580
```

Entry 7:
First-principles (GGA-PBE) data for a relaxed structure of Mg14AlSi, as listed in the Materials Project. Values from VASP.

Formation enthalpy at 0 K, eV per formula unit: 0.37
Crystal system: hexagonal
Relative energy among the computed polymorphs, meV per atom: 0

Geometry as Quantum ESPRESSO input:
```
&SYSTEM
  ibrav = 0, nat = 16, ntyp = 3
/
ATOMIC_SPECIES
Mg 24.30 Mg.upf
Si 28.09 Si.upf
Al 26.98 Al.upf
ATOMIC_POSITIONS crystal
Mg 0.332 0.665 0.375
Si 0.167 0.333 0.625
Mg 0.667 0.833 0.625
Mg 0.166 0.833 0.625
Mg 0.332 0.168 0.375
Mg 0.332 0.665 0.875
Mg 0.667 0.833 0.125
Mg 0.667 0.333 0.125
Mg 0.833 0.667 0.375
Mg 0.835 0.168 0.875
Al 0.167 0.333 0.125
Mg 0.667 0.334 0.625
Mg 0.835 0.168 0.375
Mg 0.833 0.667 0.875
Mg 0.332 0.168 0.875
Mg 0.167 0.833 0.125
CELL_PARAMETERS angstrom
6.250 0.000 0.000
-3.125 5.413 0.000
0.000 0.000 10.253
```

Entry 8:
First-principles (GGA-PBE) data for a relaxed structure of BaNaCuClO2, as listed in the Materials Project. Values from VASP.

Formation enthalpy at 0 K, eV per formula unit: -11.02
Crystal system: tetragonal
Magnetic moment, μB/f.u.: 0.000

Geometry as Quantum ESPRESSO input:
```
&SYSTEM
  ibrav = 0, nat = 6, ntyp = 5
/
ATOMIC_SPECIES
Cl 35.45 Cl.upf
Cu 63.55 Cu.upf
Ba 137.33 Ba.upf
O 16.00 O.upf
Na 22.99 Na.upf
ATOMIC_POSITIONS crystal
Cl 0.500 0.500 0.742
Cu 0.500 0.500 0.215
Ba 0.000 0.000 0.480
O 0.000 0.500 0.235
O 0.500 0.000 0.235
Na 0.000 0.000 0.029
CELL_PARAMETERS angstrom
3.969 0.000 0.000
0.000 3.969 0.000
0.000 0.000 7.099
```

Entry 9:
First-principles (GGA-PBE) data for a relaxed structure of Na6HfZn3P4S2O24, as listed in the Materials Project. Values from VASP.

Formation enthalpy at 0 K, eV per formula unit: -99.01
Crystal system: triclinic
Magnetic moment, μB/f.u.: 0.000

Geometry as Quantum ESPRESSO input:
```
&SYSTEM
  ibrav = 0, nat = 120, ntyp = 6
/
ATOMIC_SPECIES
O 16.00 O.upf
Zn 65.41 Zn.upf
P 30.97 P.upf
Hf 178.49 Hf.upf
Na 22.99 Na.upf
S 32.06 S.upf
ATOMIC_POSITIONS crystal
O 0.785 0.794 0.193
O 0.853 0.532 0.749
O 0.849 0.319 0.531
O 0.353 0.496 0.081
O 0.135 0.448 0.977
O 0.194 0.222 0.692
Zn 0.994 0.004 0.851
O 0.320 0.875 0.982
O 0.882 0.354 0.645
O 0.473 0.159 0.247
O 0.885 0.515 0.141
O 0.017 0.189 0.913
P 0.700 0.001 0.748
O 0.523 0.679 0.250
P 0.331 0.366 0.415
O 0.683 0.149 0.031
P 0.033 0.365 0.919
O 0.525 0.882 0.363
O 0.472 0.354 0.145
O 0.512 0.647 0.865
P 0.634 0.964 0.418
O 0.468 0.113 0.640
O 0.173 0.188 0.409
O 0.144 0.497 0.581
P 0.668 0.632 0.586
O 0.684 0.163 0.744
O 0.146 0.657 0.079
Zn 0.992 0.011 0.656
O 0.462 0.143 0.531
Hf 0.668 0.335 0.480
O 0.821 0.025 0.799
O 0.369 0.483 0.359
Na 0.673 0.958 0.580
O 0.131 0.692 0.480
O 0.661 0.151 0.423
O 0.349 0.862 0.580
P 0.966 0.336 0.587
Na 0.989 0.981 0.991
O 0.647 0.526 0.644
Zn 0.674 0.346 0.180
O 0.632 0.497 0.920
O 0.013 0.209 0.193
Na 0.694 0.679 0.408
O 0.968 0.804 0.087
P 0.301 0.300 0.751
Na 0.992 0.346 0.746
Na 0.032 0.697 0.580
S 0.998 0.297 0.249
Zn 0.007 0.996 0.350
O 0.024 0.797 0.690
O 0.981 0.172 0.585
P 0.635 0.674 0.920
P 0.964 0.629 0.086
O 0.676 0.528 0.530
S 0.697 0.701 0.250
Zn 0.659 0.326 0.683
O 0.118 0.626 0.366
O 0.468 0.315 0.031
Na 0.319 0.294 0.909
O 0.159 0.683 0.754
O 0.487 0.336 0.748
Na 0.982 0.304 0.407
Na 0.295 0.343 0.585
O 0.000 0.818 0.411
O 0.991 0.799 0.801
Zn 0.335 0.680 0.326
O 0.849 0.532 0.029
Na 0.009 0.000 0.494
Zn 0.331 0.664 0.505
O 0.158 0.467 0.250
Na 0.048 0.344 0.084
O 0.854 0.351 0.921
O 0.178 0.995 0.915
O 0.304 0.444 0.474
P 0.369 0.334 0.087
Zn 0.327 0.664 0.010
O 0.516 0.868 0.081
O 0.519 0.838 0.758
O 0.200 0.025 0.585
S 0.667 0.041 0.086
Na 0.340 0.671 0.661
S 0.303 0.999 0.248
O 0.314 0.484 0.755
O 0.988 0.199 0.305
O 0.556 0.864 0.478
S 0.005 0.707 0.749
O 0.813 0.820 0.911
O 0.207 0.021 0.298
Hf 0.336 0.674 0.818
Zn 0.008 0.994 0.153
Na 0.365 0.368 0.253
S 0.369 0.035 0.585
O 0.825 0.030 0.087
O 0.553 0.689 0.979
O 0.837 0.806 0.585
O 0.510 0.654 0.582
O 0.678 0.524 0.250
O 0.215 0.983 0.189
Na 0.666 0.311 0.324
P 0.329 0.966 0.922
Na 0.289 0.960 0.079
O 0.761 0.957 0.688
Na 0.321 0.674 0.172
Na 0.660 0.697 0.082
Na 0.644 0.637 0.742
O 0.496 0.351 0.423
O 0.346 0.863 0.868
O 0.128 0.480 0.862
O 0.816 0.989 0.413
O 0.496 0.147 0.921
O 0.794 0.790 0.305
O 0.845 0.316 0.247
O 0.853 0.504 0.424
O 0.321 0.846 0.255
Hf 0.671 0.342 0.978
O 0.190 0.170 0.087
O 0.215 0.198 0.808
Na 0.649 0.298 0.827
P 0.038 0.671 0.419
O 0.645 0.122 0.140
CELL_PARAMETERS angstrom
-3.572 7.744 -3.052
-0.972 -2.288 8.681
18.705 10.624 4.976
```

Entry 10:
First-principles (GGA-PBE) data for a relaxed structure of La3GaCuSe7, as listed in the Materials Project. Values from VASP.

Formation enthalpy at 0 K, eV per formula unit: -20.35
Crystal system: hexagonal
Magnetic moment, μB/f.u.: 0.000

Geometry as Quantum ESPRESSO input:
```
&SYSTEM
  ibrav = 0, nat = 24, ntyp = 4
/
ATOMIC_SPECIES
Se 78.96 Se.upf
Ga 69.72 Ga.upf
La 138.91 La.upf
Cu 63.55 Cu.upf
ATOMIC_POSITIONS crystal
Se 0.570 0.090 0.841
Ga 0.667 0.333 0.988
Se 0.667 0.333 0.364
La 0.369 0.147 0.574
Se 0.520 0.430 0.841
Se 0.480 0.570 0.341
Se 0.090 0.520 0.341
La 0.778 0.631 0.574
Se 0.896 0.151 0.112
Cu 0.000 0.000 0.636
Se 0.910 0.480 0.841
Se 0.430 0.910 0.341
La 0.631 0.853 0.074
La 0.853 0.222 0.574
Se 0.255 0.104 0.112
Se 0.849 0.745 0.112
Se 0.151 0.255 0.612
Ga 0.333 0.667 0.488
Se 0.333 0.667 0.864
La 0.222 0.369 0.074
Cu 0.000 0.000 0.136
La 0.147 0.778 0.074
Se 0.104 0.849 0.612
Se 0.745 0.896 0.612
CELL_PARAMETERS angstrom
5.314 -9.203 0.000
5.314 9.203 0.000
0.000 0.000 6.376
```

Entry 11:
First-principles (GGA-PBE) data for a relaxed structure of MgZn5, as listed in the Materials Project. Values from VASP.

Formation enthalpy at 0 K, eV per formula unit: -0.15
Crystal system: trigonal

Geometry as Quantum ESPRESSO input:
```
&SYSTEM
  ibrav = 0, nat = 6, ntyp = 2
/
ATOMIC_SPECIES
Zn 65.41 Zn.upf
Mg 24.30 Mg.upf
ATOMIC_POSITIONS crystal
Zn 0.835 0.835 0.835
Zn 0.165 0.165 0.165
Zn 0.670 0.330 0.000
Zn 0.000 0.670 0.330
Zn 0.330 0.000 0.670
Mg 0.500 0.500 0.500
CELL_PARAMETERS angstrom
-4.282 3.746 0.413
-5.145 0.103 -2.460
-5.230 -0.509 2.218
```

Entry 12:
First-principles (GGA-PBE) data for a relaxed structure of MgTiSnO4, as listed in the Materials Project. Values from VASP.

Formation enthalpy at 0 K, eV per formula unit: -18.44
Crystal system: orthorhombic
Magnetic moment, μB/f.u.: 0.000
Relative energy among the computed polymorphs, meV per atom: 89

Geometry as Quantum ESPRESSO input:
```
&SYSTEM
  ibrav = 0, nat = 7, ntyp = 4
/
ATOMIC_SPECIES
O 16.00 O.upf
Sn 118.71 Sn.upf
Mg 24.30 Mg.upf
Ti 47.87 Ti.upf
ATOMIC_POSITIONS crystal
O 0.710 0.710 0.000
O 0.506 0.006 0.500
Sn 0.073 0.073 0.000
O 0.282 0.282 0.000
Mg 0.424 0.424 0.000
O 0.908 0.408 0.500
Ti 0.775 0.275 0.500
CELL_PARAMETERS angstrom
-4.302 -3.361 5.225
-6.442 -3.911 0.546
6.857 1.520 -2.788
```